VASP calculation (PBE+U) on an optimized crystal structure of Mg2V2CuO8.

Cell lengths 6.251, 6.474, 8.213 Å; angles 90.00, 90.00, 115.95 degrees
Fractional positions:
V (0.135, 0.743, 0.874)
V (0.365, 0.257, 0.374)
V (0.865, 0.257, 0.126)
V (0.635, 0.743, 0.626)
Mg (0.617, 0.230, 0.750)
Mg (0.383, 0.770, 0.250)
Mg (0.117, 0.230, 0.750)
Mg (0.883, 0.770, 0.250)
O (0.356, 0.726, 0.997)
O (0.919, 0.745, 0.997)
O (0.740, 0.998, 0.230)
O (0.144, 0.274, 0.497)
O (0.260, 0.002, 0.770)
O (0.240, 0.998, 0.270)
O (0.081, 0.255, 0.003)
O (0.502, 0.509, 0.237)
O (0.419, 0.745, 0.503)
O (0.498, 0.491, 0.763)
O (0.760, 0.002, 0.730)
O (0.002, 0.509, 0.263)
O (0.856, 0.726, 0.503)
O (0.644, 0.274, 0.003)
O (0.581, 0.255, 0.497)
O (0.998, 0.491, 0.737)
Cu (0.000, 0.500, 0.500)
Cu (0.500, 0.500, 0.000)

Output
- Raw total energy: -87.209 eV/f.u.
- V: 298.9 Å³/cell
- ΔE_f: -2388.8 meV per atom
- Magnetic moment: 1.00 μB per formula unit


VASP calculation (PBE+U) on an optimized crystal structure of Mg6VCuO8.

Cell lengths 8.807, 4.236, 4.236 Å; angles 90.00, 90.00, 90.00 degrees
Fractional positions:
O (0.249, 0.500, 0.500)
O (0.000, 0.500, 0.000)
O (0.000, 0.000, 0.500)
O (0.266, 0.000, 0.000)
O (0.751, 0.500, 0.500)
O (0.500, 0.500, 0.000)
O (0.734, 0.000, 0.000)
O (0.500, 0.000, 0.500)
Mg (0.243, 0.000, 0.500)
Mg (0.500, 0.500, 0.500)
Mg (0.000, 0.500, 0.500)
Mg (0.757, 0.500, 0.000)
Mg (0.757, 0.000, 0.500)
Mg (0.243, 0.500, 0.000)
Cu (0.000, 0.000, 0.000)
V (0.500, 0.000, 0.000)

Output
- Raw total energy: -97.667 eV/f.u.
- V: 158.0 Å³/cell
- ΔE_f: -2655.9 meV per atom
- Magnetic moment: 2.27 μB per formula unit


VASP calculation (PBE+U) on an optimized crystal structure of MgV2Cu2O6.

Cell lengths 5.888, 6.013, 5.953 Å; angles 51.11, 51.78, 50.56 degrees
Fractional positions:
O (0.269, 0.935, 0.587)
O (0.050, 0.422, 0.732)
O (0.575, 0.272, 0.943)
O (0.951, 0.578, 0.265)
O (0.426, 0.728, 0.057)
O (0.735, 0.065, 0.411)
Cu (0.829, 0.821, 0.837)
Cu (0.162, 0.180, 0.171)
V (0.648, 0.652, 0.656)
V (0.354, 0.346, 0.343)
Mg (0.001, 0.999, 0.999)

Output
- Raw total energy: -70.990 eV/f.u.
- V: 117.9 Å³/cell
- ΔE to the lowest computed polymorph: 111 meV/atom
- ΔE_f: -1896.2 meV per atom
- Magnetic moment: 2.00 μB per formula unit


VASP calculation (PBE+U) on an optimized crystal structure of MgV3CuO8.

Cell lengths 6.219, 6.309, 6.721 Å; angles 75.28, 104.46, 143.50 degrees
Fractional positions:
O (0.134, 0.849, 0.697)
O (0.569, 0.434, 0.383)
O (0.584, 0.344, 0.980)
O (0.250, 0.748, 0.365)
O (0.884, 0.129, 0.269)
O (0.397, 0.629, 0.001)
O (0.786, 0.221, 0.713)
O (0.447, 0.560, 0.631)
Mg (0.921, 0.109, 0.987)
V (0.421, 0.594, 0.308)
V (0.300, 0.711, 0.665)
V (0.604, 0.377, 0.728)
Cu (0.714, 0.294, 0.284)

Output
- Raw total energy: -90.645 eV/f.u.
- V: 151.2 Å³/cell
- ΔE to the lowest computed polymorph: 17 meV/atom
- ΔE_f: -2208.1 meV per atom
- Magnetic moment: 2.00 μB per formula unit


VASP calculation (PBE+U) on an optimized crystal structure of MgV4Cu3O12.

Cell lengths 6.378, 6.367, 6.380 Å; angles 109.65, 109.40, 109.43 degrees
Fractional positions:
O (0.700, 0.526, 0.823)
O (0.481, 0.175, 0.299)
O (0.124, 0.817, 0.293)
O (0.300, 0.474, 0.177)
O (0.823, 0.698, 0.527)
O (0.876, 0.183, 0.707)
O (0.184, 0.706, 0.878)
O (0.816, 0.294, 0.122)
O (0.691, 0.876, 0.172)
O (0.519, 0.825, 0.701)
O (0.309, 0.124, 0.828)
O (0.177, 0.301, 0.473)
Cu (0.500, 0.000, 0.500)
Cu (0.000, 0.500, 0.500)
Cu (0.500, 0.500, 0.000)
V (0.500, 0.000, 0.000)
V (0.000, 0.000, 0.500)
V (0.500, 0.500, 0.500)
V (0.000, 0.500, 0.000)
Mg (0.000, 0.000, 0.000)

Output
- Raw total energy: -133.344 eV/f.u.
- V: 199.3 Å³/cell
- ΔE to the lowest computed polymorph: 51 meV/atom
- ΔE_f: -1938.9 meV per atom
- Magnetic moment: 1.03 μB per formula unit


VASP calculation (PBE+U) on an optimized crystal structure of MgV2Cu2O8.

Cell lengths 5.971, 5.971, 5.971 Å; angles 120.18, 118.61, 91.06 degrees
Fractional positions:
Mg (0.978, 0.228, 0.750)
V (0.318, 0.568, 0.750)
V (0.716, 0.466, 0.250)
O (0.213, 0.741, 0.028)
O (0.778, 0.226, 0.948)
O (0.373, 0.339, 0.034)
O (0.804, 0.339, 0.466)
O (0.203, 0.683, 0.520)
O (0.213, 0.185, 0.472)
O (0.778, 0.830, 0.552)
O (0.664, 0.683, 0.980)
Cu (0.966, 0.959, 0.007)
Cu (0.453, 0.959, 0.493)

Output
- Raw total energy: -83.354 eV/f.u.
- V: 151.9 Å³/cell
- ΔE to the lowest computed polymorph: 131 meV/atom
- ΔE_f: -1900.0 meV per atom
- Magnetic moment: 2.00 μB per formula unit